# 1
# IBr

A geometry-optimized IBr structure (GGA-PBE, the Materials Project database).

Computed properties:
- energy of formation (eV/atom) = -0.34
- electronic total energy (eV/cell) = -6.632
- energy above the most stable polymorph in this dataset (meV/atom) = 9
- corrected total energy (MP2020 scheme) (eV for the cell shown) = -7.70

a = 4.7014 Å, b = 4.7014 Å, c = 8.7931 Å
α = 90.00°, β = 90.00°, γ = 67.61°
Closest atoms and distances in Å follow each position.
Element x y z (fractional)
I: 0.0000 0.0000 0.0000  2 Br 2.73
I: 0.0000 0.0000 0.5000  2 Br 2.73
Br: 0.3101 0.6899 0.7500  2 I 2.73
Br: 0.6899 0.3101 0.2500  2 I 2.73



# 2
# IBr2

A geometry-optimized IBr2 structure (GGA-PBE, the Materials Project database).

Computed properties:
- energy of formation (eV/atom) = -0.30
- electronic total energy (eV/cell) = -9.250
- corrected total energy (MP2020 scheme) (eV for the cell shown) = -11.39

a = 7.4462 Å, b = 7.4462 Å, c = 4.8564 Å
α = 90.00°, β = 90.00°, γ = 90.00°
Closest atoms and distances in Å follow each position.
Element x y z (fractional)
I: 0.0000 0.0000 0.0000  2 Br 2.65
I: 0.5000 0.5000 0.5000  2 Br 2.65
Br: 0.2482 0.2482 0.5000  1 I 2.65
Br: 0.2518 0.7482 0.0000  1 I 2.65
Br: 0.7482 0.2518 0.0000  1 I 2.65
Br: 0.7518 0.7518 0.5000  1 I 2.65



# 3
# IBr

A geometry-optimized IBr structure (GGA-PBE, the Materials Project database).

Computed properties:
- energy of formation (eV/atom) = -0.35
- electronic total energy (eV/cell) = -6.669
- energy above the most stable polymorph in this dataset (meV/atom) = 0
- corrected total energy (MP2020 scheme) (eV for the cell shown) = -7.74

a = 5.0087 Å, b = 5.0087 Å, c = 8.8164 Å
α = 90.00°, β = 90.00°, γ = 65.42°
Closest atoms and distances in Å follow each position.
Element x y z (fractional)
I: 0.0000 0.0000 0.0000  2 Br 2.73
I: 0.0000 0.0000 0.5000  2 Br 2.73
Br: 0.2990 0.7010 0.7500  2 I 2.73
Br: 0.7010 0.2990 0.2500  2 I 2.73



# 4
# K3I2Br

A geometry-optimized K3I2Br structure (GGA-PBE, the Materials Project database).

Computed properties:
- energy of formation (eV/atom) = -1.66
- electronic total energy (eV/cell) = -17.471
- corrected total energy (MP2020 scheme) (eV for the cell shown) = -18.01

a = 4.9517 Å, b = 4.9517 Å, c = 12.2477 Å
α = 90.00°, β = 90.00°, γ = 120.00°
Closest atoms and distances in Å follow each position.
Element x y z (fractional)
K: 0.0000 0.0000 0.0000  6 I 3.56
K: 0.3333 0.6667 0.6511  3 Br 3.41, 3 I 3.58
K: 0.6667 0.3333 0.3489  3 Br 3.41, 3 I 3.58
I: 0.3333 0.6667 0.1735  6 K 3.56-3.58
I: 0.6667 0.3333 0.8265  6 K 3.56-3.58
Br: 0.0000 0.0000 0.5000  6 K 3.41



# 5
# Li2IBr

A geometry-optimized Li2IBr structure (GGA-PBE, the Materials Project database).

Computed properties:
- energy of formation (eV/atom) = -1.52
- electronic total energy (eV/cell) = -12.538
- corrected total energy (MP2020 scheme) (eV for the cell shown) = -13.07

a = 4.3969 Å, b = 4.3969 Å, c = 7.0919 Å
α = 90.00°, β = 90.00°, γ = 120.00°
Closest atoms and distances in Å follow each position.
Element x y z (fractional)
Li: 0.0000 0.0000 0.0000  1 Br 2.54, 3 I 2.74
Li: 0.3333 0.6667 0.5397  3 Br 2.64, 1 I 2.81
I: 0.3333 0.6667 0.1439  4 Li 2.74-2.81
Br: 0.0000 0.0000 0.6412  4 Li 2.54-2.64



# 6
# Rb3I2Br

A geometry-optimized Rb3I2Br structure (GGA-PBE, the Materials Project database).

Computed properties:
- energy of formation (eV/atom) = -1.67
- electronic total energy (eV/cell) = -17.135
- corrected total energy (MP2020 scheme) (eV for the cell shown) = -17.67

a = 8.9967 Å, b = 8.9967 Å, c = 8.9967 Å
α = 146.58°, β = 131.67°, γ = 60.04°
Closest atoms and distances in Å follow each position.
Element x y z (fractional)
Rb: 0.0000 0.0000 0.0000  2 Br 3.68, 4 I 3.69
Rb: 0.3457 0.3457 0.0000  2 Br 3.53, 4 I 3.69-3.78
Rb: 0.6543 0.6543 0.0000  2 Br 3.53, 4 I 3.69-3.78
I: 0.1688 0.6688 0.5000  6 Rb 3.69-3.78
I: 0.8312 0.3312 0.5000  6 Rb 3.69-3.78
Br: 0.5000 0.0000 0.5000  6 Rb 3.53-3.68



> What is the electronic total energy in the third record?

-6.669 eV/cell